# 1
## CsBaCr3F12 (GGA+U)

Data for an optimized crystal structure of CsBaCr3F12.

abc: 10.112 10.112 15.350
angles: 119.20 119.20 59.82
Atoms (fractional coordinates):
Cs 0.002 0.774 0.535
Cs 0.226 0.998 0.965
Cs 0.774 0.002 0.035
Cs 0.998 0.226 0.465
Ba 0.241 0.501 0.998
Ba 0.499 0.759 0.502
Ba 0.501 0.241 0.498
Ba 0.759 0.499 0.002
Cr 0.090 0.353 0.269
Cr 0.090 0.721 0.271
Cr 0.279 0.910 0.229
Cr 0.347 0.454 0.761
Cr 0.353 0.090 0.769
Cr 0.454 0.347 0.261
Cr 0.546 0.653 0.739
Cr 0.647 0.910 0.231
Cr 0.653 0.546 0.239
Cr 0.721 0.090 0.771
Cr 0.910 0.279 0.729
Cr 0.910 0.647 0.731
F 0.010 0.325 0.122
F 0.023 0.619 0.120
F 0.048 0.581 0.302
F 0.120 0.128 0.236
F 0.123 0.598 0.730
F 0.125 0.875 0.250
F 0.128 0.120 0.736
F 0.164 0.827 0.420
F 0.173 0.836 0.080
F 0.174 0.383 0.416
F 0.288 0.315 0.780
F 0.315 0.288 0.280
F 0.318 0.336 0.616
F 0.319 0.579 0.293
F 0.325 0.010 0.622
F 0.336 0.318 0.116
F 0.381 0.977 0.380
F 0.383 0.174 0.916
F 0.387 0.613 0.750
F 0.392 0.563 0.911
F 0.402 0.877 0.770
F 0.419 0.952 0.198
F 0.421 0.681 0.207
F 0.437 0.608 0.589
F 0.563 0.392 0.411
F 0.579 0.319 0.793
F 0.581 0.048 0.802
F 0.598 0.123 0.230
F 0.608 0.437 0.089
F 0.613 0.387 0.250
F 0.617 0.826 0.084
F 0.619 0.023 0.620
F 0.664 0.682 0.884
F 0.675 0.990 0.378
F 0.681 0.421 0.707
F 0.682 0.664 0.384
F 0.685 0.712 0.720
F 0.712 0.685 0.220
F 0.826 0.617 0.584
F 0.827 0.164 0.920
F 0.836 0.173 0.580
F 0.872 0.880 0.264
F 0.875 0.125 0.750
F 0.877 0.402 0.270
F 0.880 0.872 0.764
F 0.952 0.419 0.698
F 0.977 0.381 0.880
F 0.990 0.675 0.878

Results
As for the energy of formation: -3289 meV per atom. The calculation puts the spin magnetization at 36.000 Bohr magnetons per cell. As for the MP2020-corrected energy: -6.510 eV/atom.



# 2
## CsBa2Cr2F11 (GGA+U)

Data for an optimized crystal structure of CsBa2Cr2F11.

abc: 8.901 8.901 8.901
angles: 139.84 139.84 58.09
Atoms (fractional coordinates):
Cs 0.000 0.000 0.000
Ba 0.250 0.750 0.500
Ba 0.750 0.250 0.500
Cr 0.375 0.375 0.000
Cr 0.625 0.625 0.000
F 0.142 0.142 0.550
F 0.142 0.591 0.000
F 0.250 0.250 0.000
F 0.409 0.409 0.550
F 0.409 0.858 0.000
F 0.500 0.500 0.000
F 0.591 0.142 0.000
F 0.591 0.591 0.450
F 0.750 0.750 0.000
F 0.858 0.409 0.000
F 0.858 0.858 0.450

Results
As for the energy of formation: -3528 meV per atom. The calculation puts the spin magnetization at 6.015 Bohr magnetons per cell. As for the MP2020-corrected energy: -6.346 eV/atom.



# 3
## Ba2Cr2CuF14 (GGA+U)

Data for an optimized crystal structure of Ba2Cr2CuF14.

abc: 7.624 7.624 15.085
angles: 90.94 90.94 41.32
Atoms (fractional coordinates):
Ba 0.109 0.248 0.127
Ba 0.248 0.109 0.627
Ba 0.752 0.891 0.373
Ba 0.891 0.752 0.873
Cr 0.099 0.146 0.374
Cr 0.146 0.099 0.874
Cr 0.854 0.901 0.126
Cr 0.901 0.854 0.626
Cu 0.500 0.500 0.000
Cu 0.500 0.500 0.500
F 0.007 0.646 0.216
F 0.062 0.932 0.152
F 0.068 0.938 0.348
F 0.112 0.610 0.049
F 0.126 0.705 0.524
F 0.144 0.348 0.410
F 0.157 0.591 0.703
F 0.295 0.874 0.976
F 0.348 0.144 0.910
F 0.354 0.993 0.284
F 0.376 0.494 0.895
F 0.390 0.888 0.451
F 0.409 0.843 0.797
F 0.494 0.376 0.395
F 0.506 0.624 0.605
F 0.591 0.157 0.203
F 0.610 0.112 0.549
F 0.624 0.506 0.105
F 0.646 0.007 0.716
F 0.652 0.856 0.090
F 0.705 0.126 0.024
F 0.843 0.409 0.297
F 0.856 0.652 0.590
F 0.874 0.295 0.476
F 0.888 0.390 0.951
F 0.932 0.062 0.652
F 0.938 0.068 0.848
F 0.993 0.354 0.784

Results
As for the energy of formation: -3039 meV per atom. The calculation puts the spin magnetization at 10.000 Bohr magnetons per cell. As for the MP2020-corrected energy: -5.884 eV/atom.



# 4
## Ba2MgCr2CuF14 (GGA+U)

Data for an optimized crystal structure of Ba2MgCr2CuF14.

abc: 7.455 7.455 14.608
angles: 91.72 91.72 41.19
Atoms (fractional coordinates):
Ba 0.110 0.262 0.123
Ba 0.262 0.110 0.623
Ba 0.738 0.890 0.377
Ba 0.890 0.738 0.877
Mg 0.430 0.570 0.250
Mg 0.570 0.430 0.750
Cr 0.097 0.139 0.373
Cr 0.139 0.097 0.873
Cr 0.861 0.903 0.127
Cr 0.903 0.861 0.627
Cu 0.500 0.500 0.000
Cu 0.500 0.500 0.500
F 0.040 0.640 0.225
F 0.093 0.889 0.339
F 0.111 0.907 0.161
F 0.119 0.713 0.516
F 0.133 0.592 0.045
F 0.152 0.352 0.403
F 0.201 0.579 0.711
F 0.287 0.881 0.984
F 0.352 0.152 0.903
F 0.360 0.960 0.275
F 0.393 0.512 0.877
F 0.408 0.867 0.455
F 0.421 0.799 0.789
F 0.488 0.607 0.623
F 0.512 0.393 0.377
F 0.579 0.201 0.211
F 0.592 0.133 0.545
F 0.607 0.488 0.123
F 0.640 0.040 0.725
F 0.648 0.848 0.097
F 0.713 0.119 0.016
F 0.799 0.421 0.289
F 0.848 0.648 0.597
F 0.867 0.408 0.955
F 0.881 0.287 0.484
F 0.889 0.093 0.839
F 0.907 0.111 0.661
F 0.960 0.360 0.775

Results
As for the energy of formation: -3318 meV per atom. The calculation puts the spin magnetization at 14.001 Bohr magnetons per cell. As for the MP2020-corrected energy: -6.100 eV/atom.



# 5
## BaEuCr4O12 (GGA+U)

Data for an optimized crystal structure of BaEuCr4O12.

abc: 5.931 5.931 8.258
angles: 90.00 90.00 90.00
Atoms (fractional coordinates):
Ba 0.000 0.000 0.000
Eu 0.500 0.500 0.500
Cr 0.000 0.500 0.251
Cr 0.000 0.500 0.749
Cr 0.500 0.000 0.251
Cr 0.500 0.000 0.749
O 0.000 0.500 0.000
O 0.000 0.500 0.500
O 0.255 0.255 0.255
O 0.255 0.255 0.745
O 0.255 0.745 0.255
O 0.255 0.745 0.745
O 0.500 0.000 0.000
O 0.500 0.000 0.500
O 0.745 0.255 0.255
O 0.745 0.255 0.745
O 0.745 0.745 0.255
O 0.745 0.745 0.745

Results
As for the energy of formation: -1439 meV per atom. The calculation puts the spin magnetization at 3.646 Bohr magnetons per cell. As for the MP2020-corrected energy: -7.559 eV/atom.



# 6
## BaSrEuCrO6 (GGA+U)

Data for an optimized crystal structure of BaSrEuCrO6.

abc: 5.892 5.892 5.892
angles: 60.00 60.00 60.00
Atoms (fractional coordinates):
Ba 0.000 0.000 0.000
Sr 0.500 0.500 0.500
Eu 0.250 0.250 0.250
Cr 0.750 0.750 0.750
O 0.522 0.522 0.978
O 0.522 0.978 0.522
O 0.522 0.978 0.978
O 0.978 0.522 0.522
O 0.978 0.522 0.978
O 0.978 0.978 0.522

Results
As for the energy of formation: -2660 meV per atom. The calculation puts the spin magnetization at 7.000 Bohr magnetons per cell. As for the MP2020-corrected energy: -7.980 eV/atom.